Entry 1:
A plane-wave DFT calculation with PBE+U was carried out for an optimized crystal structure of K2Mg2Mo3O12.

a = 7.1019 Å, b = 9.1985 Å, c = 20.6426 Å
α = 90.00°, β = 108.77°, γ = 90.00°
Space group P2_1/c (No. 14)
Inequivalent atoms, fractional coordinates:
1 K 0.0958 0.1165 0.2872
2 K 0.3006 0.5308 0.0937
3 Mg 0.2284 0.1442 0.1350
4 Mg 0.4372 0.5902 0.5625
5 Mo 0.0833 0.1604 0.9638
6 Mo 0.3019 0.7270 0.4006
7 Mo 0.4490 0.6731 0.7265
8 O 0.0350 0.2016 0.4025
9 O 0.0548 0.6606 0.3567
10 O 0.1320 0.2413 0.5427
11 O 0.1442 0.5452 0.5616
12 O 0.2848 0.6906 0.2341
13 O 0.3039 0.0632 0.9607
14 O 0.3233 0.0001 0.2155
15 O 0.3256 0.5998 0.8679
16 O 0.3312 0.1788 0.6980
17 O 0.3421 0.7479 0.9912
18 O 0.4842 0.2138 0.8501
19 O 0.4990 0.6107 0.3889

Output
Total magnetization = 0.0 μB per formula unit
Offset from the most stable computed form = 0 meV per atom
Total energy = -6.547 eV/atom

Entry 2:
A plane-wave DFT calculation with PBE+U was carried out for an optimized crystal structure of K4MgMo2O8.

a = 14.1805 Å, b = 6.4880 Å, c = 7.6521 Å
α = 90.00°, β = 121.47°, γ = 90.00°
Space group Cm (No. 8)
Inequivalent atoms, fractional coordinates:
1 K 0.0000 0.0000 0.0000
2 K 0.0169 0.0000 0.5632
3 K 0.0779 0.5000 0.5334
4 K 0.3014 0.0000 0.0154
5 Mg 0.2742 0.5000 0.4765
6 Mo 0.1617 0.5000 0.0376
7 Mo 0.2900 0.0000 0.5309
8 O 0.1168 0.5000 0.2358
9 O 0.1279 0.2616 0.8885
10 O 0.1382 0.0000 0.4001
11 O 0.3131 0.5000 0.2589
12 O 0.3255 0.2613 0.6684
13 O 0.3692 0.0000 0.4030

Output
Total magnetization = 2.0 μB per formula unit
Offset from the most stable computed form = 62 meV per atom
Total energy = -5.735 eV/atom

Entry 3:
A plane-wave DFT calculation with PBE+U was carried out for an optimized crystal structure of K2Mg2Mo3O12.

a = 10.9284 Å, b = 10.9284 Å, c = 10.9284 Å
α = 90.00°, β = 90.00°, γ = 90.00°
Space group P2_13 (No. 198)
Inequivalent atoms, fractional coordinates:
1 K 0.0539 0.0539 0.0539
2 K 0.1813 0.3187 0.6813
3 Mg 0.1040 0.8960 0.3960
4 Mg 0.1637 0.6637 0.8363
5 Mo 0.0217 0.2111 0.3765
6 O 0.0142 0.5650 0.7697
7 O 0.0162 0.0544 0.3252
8 O 0.0511 0.8070 0.2353
9 O 0.0956 0.8243 0.7588

Output
Total magnetization = 0.0 μB per formula unit
Offset from the most stable computed form = 26 meV per atom
Total energy = -6.521 eV/atom

Entry 4:
A plane-wave DFT calculation with PBE+U was carried out for an optimized crystal structure of K2Mg2Mo3O12.

a = 10.7855 Å, b = 10.7960 Å, c = 32.3629 Å
α = 90.00°, β = 90.00°, γ = 90.00°
Space group P2_12_12_1 (No. 19)
Inequivalent atoms, fractional coordinates:
1 K 0.0340 0.0469 0.1850
2 K 0.0380 0.0324 0.5227
3 K 0.0737 0.0398 0.8442
4 K 0.1793 0.3256 0.3955
5 K 0.1853 0.3122 0.7252
6 K 0.1902 0.3190 0.0616
7 Mg 0.1012 0.8717 0.2930
8 Mg 0.1218 0.8742 0.6332
9 Mg 0.1310 0.8966 0.9653
10 Mg 0.1469 0.6830 0.7855
11 Mg 0.1647 0.6565 0.1107
12 Mg 0.1865 0.6475 0.4492
13 Mo 0.0196 0.2032 0.6198
14 Mo 0.0213 0.1941 0.9569
15 Mo 0.0282 0.1916 0.2953
16 Mo 0.1147 0.9682 0.4044
17 Mo 0.1164 0.9828 0.0671
18 Mo 0.1308 0.9773 0.7338
19 Mo 0.1908 0.3756 0.5081
20 Mo 0.1955 0.3824 0.8395
21 Mo 0.2165 0.3828 0.1809
22 O 0.0061 0.0368 0.2757
23 O 0.0097 0.7131 0.1509
24 O 0.0189 0.0908 0.7184
25 O 0.0260 0.0369 0.6179
26 O 0.0267 0.3724 0.4985
27 O 0.0362 0.5453 0.4233
28 O 0.0374 0.7532 0.9298
29 O 0.0408 0.3264 0.8296
30 O 0.0419 0.5207 0.0892
31 O 0.0562 0.7954 0.5785
32 O 0.0608 0.8517 0.7619
33 O 0.0666 0.0542 0.9303
34 O 0.0677 0.7977 0.2334
35 O 0.0689 0.3045 0.1857
36 O 0.0904 0.6582 0.5040
37 O 0.0902 0.7602 0.8431
38 O 0.1196 0.8213 0.0801
39 O 0.1222 0.8264 0.4330
40 O 0.1495 0.2794 0.9781
41 O 0.1536 0.9450 0.3510
42 O 0.1700 0.2625 0.6329
43 O 0.1776 0.0167 0.0162
44 O 0.1864 0.2316 0.2886
45 O 0.1911 0.6973 0.6434
46 O 0.1979 0.6043 0.7284
47 O 0.1977 0.7093 0.3096
48 O 0.2033 0.5372 0.1612
49 O 0.2143 0.9243 0.6890
50 O 0.2154 0.0852 0.4258
51 O 0.2169 0.0646 0.1021
52 O 0.2228 0.5397 0.8235
53 O 0.2291 0.3671 0.8931
54 O 0.2293 0.4211 0.5600
55 O 0.2338 0.0578 0.7679
56 O 0.2355 0.5234 0.9711
57 O 0.2498 0.2246 0.4971

Output
Total magnetization = 0.0 μB per formula unit
Offset from the most stable computed form = 12 meV per atom
Total energy = -6.534 eV/atom

Entry 5:
A plane-wave DFT calculation with PBE+U was carried out for an optimized crystal structure of K4MgMo2S2O6.

a = 11.9992 Å, b = 6.4875 Å, c = 8.7282 Å
α = 90.00°, β = 105.87°, γ = 90.00°
Space group C2 (No. 5)
Inequivalent atoms, fractional coordinates:
1 K 0.0259 0.0000 0.3375
2 K 0.1927 0.5122 0.3028
3 Mg 0.0000 0.7540 0.0000
4 Mo 0.1476 0.5200 0.7235
5 S 0.1676 0.0049 0.0884
6 O 0.0322 0.6043 0.8240
7 O 0.1274 0.2717 0.6247
8 O 0.1488 0.7338 0.5864

Output
Total magnetization = 2.0 μB per formula unit
Offset from the most stable computed form = 57 meV per atom
Total energy = -5.412 eV/atom

Entry 6:
A plane-wave DFT calculation with PBE+U was carried out for an optimized crystal structure of K4MgMo2S2O6.

a = 15.5895 Å, b = 6.5084 Å, c = 7.6346 Å
α = 90.00°, β = 117.81°, γ = 90.00°
Space group Cm (No. 8)
Inequivalent atoms, fractional coordinates:
1 K 0.0000 0.0000 0.0000
2 K 0.0237 0.0000 0.5977
3 K 0.2454 0.5000 0.6143
4 K 0.4428 0.0000 0.1111
5 Mg 0.2205 0.0000 0.1262
6 Mo 0.1846 0.5000 0.0564
7 Mo 0.3556 0.0000 0.5763
8 S 0.1851 0.0000 0.4248
9 S 0.3496 0.5000 0.1529
10 O 0.1344 0.5000 0.2284
11 O 0.1506 0.2347 0.9424
12 O 0.3581 0.0000 0.3283
13 O 0.4010 0.2378 0.7138

Output
Total magnetization = 2.0 μB per formula unit
Offset from the most stable computed form = 67 meV per atom
Total energy = -5.402 eV/atom